# 1
{"formula": "Cu8SiS6", "functional": "PBE-GGA", "state": "optimized geometry", "density_g_cm3": 5.183, "ef_ev_per_atom": -0.44, "lattice_angstrom": [[7.0064, 0.0000, 0.0000], [0.0000, 6.8923, 0.0000], [0.0000, 0.0000, 9.6704]], "species": ["Cu", "Cu", "Cu", "Cu", "Cu", "Cu", "Cu", "Cu", "Cu", "Cu", "Cu", "Cu", "Cu", "Cu", "Cu", "Cu", "Si", "Si", "S", "S", "S", "S", "S", "S", "S", "S", "S", "S", "S", "S"], "fractional_positions": [[0.0000, 0.1042, 0.0000], [0.0000, 0.2267, 0.5545], [0.2027, 0.0248, 0.7720], [0.2074, 0.6115, 0.1775], [0.2091, 0.6543, 0.8792], [0.2909, 0.3457, 0.3792], [0.2926, 0.3885, 0.6775], [0.2973, 0.9752, 0.2720], [0.5000, 0.7733, 0.0545], [0.5000, 0.8958, 0.5000], [0.7027, 0.9752, 0.2720], [0.7074, 0.3885, 0.6775], [0.7091, 0.3457, 0.3792], [0.7909, 0.6543, 0.8792], [0.7926, 0.6115, 0.1775], [0.7973, 0.0248, 0.7720], [0.0000, 0.7511, 0.5210], [0.5000, 0.2489, 0.0210], [0.0000, 0.2872, 0.7871], [0.0000, 0.5044, 0.3861], [0.0000, 0.7711, 0.0315], [0.0000, 0.9944, 0.3879], [0.2454, 0.2544, 0.1399], [0.2546, 0.7456, 0.6399], [0.5000, 0.0056, 0.8879], [0.5000, 0.2289, 0.5315], [0.5000, 0.4956, 0.8861], [0.5000, 0.7128, 0.2871], [0.7454, 0.7456, 0.6399], [0.7546, 0.2544, 0.1399]]}

=====

# 2
{"formula": "La3TaSiS5O24", "functional": "PBE-GGA", "state": "optimized geometry", "density_g_cm3": 3.079, "ef_ev_per_atom": -2.67, "lattice_angstrom": [[9.4793, 0.0000, 0.0000], [4.7346, 8.2232, 0.0000], [0.1038, 0.1242, 24.2824]], "species": ["La", "La", "La", "La", "La", "La", "La", "La", "La", "Ta", "Ta", "Ta", "Si", "Si", "Si", "S", "S", "S", "S", "S", "S", "S", "S", "S", "S", "S", "S", "S", "S", "S", "O", "O", "O", "O", "O", "O", "O", "O", "O", "O", "O", "O", "O", "O", "O", "O", "O", "O", "O", "O", "O", "O", "O", "O", "O", "O", "O", "O", "O", "O", "O", "O", "O", "O", "O", "O", "O", "O", "O", "O", "O", "O", "O", "O", "O", "O", "O", "O", "O", "O", "O", "O", "O", "O", "O", "O", "O", "O", "O", "O", "O", "O", "O", "O", "O", "O", "O", "O", "O", "O", "O", "O"], "fractional_positions": [[0.0000, 0.0000, 0.0000], [0.0005, 0.0020, 0.7802], [0.0004, 0.0107, 0.5006], [0.3164, 0.3374, 0.4494], [0.3263, 0.3310, 0.6600], [0.3351, 0.3352, 0.9591], [0.3402, 0.3362, 0.1691], [0.6609, 0.6708, 0.3295], [0.6677, 0.6668, 0.8324], [0.6589, 0.6778, 0.1303], [0.6739, 0.6608, 0.6190], [0.9987, 0.9951, 0.2818], [0.0313, 0.3477, 0.5587], [0.3672, 0.6864, 0.2256], [0.6849, 0.9475, 0.2250], [0.0072, 0.2874, 0.8905], [0.0073, 0.7257, 0.3855], [0.0185, 0.6256, 0.0611], [0.2727, 0.0063, 0.3858], [0.2879, 0.7090, 0.8906], [0.3573, 0.0173, 0.0619], [0.3569, 0.6266, 0.5611], [0.3904, 0.9404, 0.7202], [0.6283, 0.0181, 0.5613], [0.6296, 0.3561, 0.0608], [0.6692, 0.3909, 0.7190], [0.7082, 0.0054, 0.8906], [0.7224, 0.2707, 0.3856], [0.9397, 0.6733, 0.7192], [0.9449, 0.3673, 0.2230], [0.0176, 0.8231, 0.3364], [0.0246, 0.1896, 0.8404], [0.0912, 0.5263, 0.0100], [0.1026, 0.5324, 0.7120], [0.1053, 0.3385, 0.2101], [0.1119, 0.3843, 0.5048], [0.1279, 0.5498, 0.1075], [0.1406, 0.3239, 0.6125], [0.1525, 0.3056, 0.8970], [0.1613, 0.5673, 0.3864], [0.1678, 0.0194, 0.3375], [0.1846, 0.8565, 0.2405], [0.1900, 0.7895, 0.8403], [0.2011, 0.9870, 0.4374], [0.2089, 0.8088, 0.9398], [0.2200, 0.7917, 0.5534], [0.2207, 0.9863, 0.0518], [0.2291, 0.9522, 0.7228], [0.2836, 0.1573, 0.3883], [0.3058, 0.5453, 0.8970], [0.3238, 0.1246, 0.1080], [0.3255, 0.5516, 0.2071], [0.3311, 0.5492, 0.6096], [0.3735, 0.1019, 0.7141], [0.3899, 0.0845, 0.0107], [0.3970, 0.5255, 0.5119], [0.4357, 0.8649, 0.3809], [0.4518, 0.6910, 0.8848], [0.4800, 0.6534, 0.2776], [0.4815, 0.7026, 0.1713], [0.4815, 0.8661, 0.7713], [0.4828, 0.8358, 0.6719], [0.5044, 0.6486, 0.5754], [0.5091, 0.8509, 0.0739], [0.5281, 0.0817, 0.5118], [0.5282, 0.3715, 0.7105], [0.5289, 0.3864, 0.0100], [0.5449, 0.1221, 0.2071], [0.5448, 0.1509, 0.8972], [0.5544, 0.1237, 0.6092], [0.5538, 0.3197, 0.1070], [0.5615, 0.2822, 0.3890], [0.6423, 0.8527, 0.5761], [0.6477, 0.5018, 0.0731], [0.6499, 0.4831, 0.7698], [0.6646, 0.8604, 0.2777], [0.6817, 0.4886, 0.6708], [0.6906, 0.8594, 0.8846], [0.7044, 0.8171, 0.1707], [0.7073, 0.4310, 0.3791], [0.7884, 0.0243, 0.8402], [0.7949, 0.2146, 0.0505], [0.7964, 0.9826, 0.5535], [0.8093, 0.9828, 0.9396], [0.8141, 0.1965, 0.4369], [0.8181, 0.1659, 0.3368], [0.8218, 0.2325, 0.7209], [0.8311, 0.4576, 0.1743], [0.8316, 0.6854, 0.6712], [0.8451, 0.5129, 0.5770], [0.8521, 0.9661, 0.2389], [0.8554, 0.6405, 0.0728], [0.8609, 0.4510, 0.8844], [0.8685, 0.6508, 0.7702], [0.8686, 0.7029, 0.3784], [0.8791, 0.4654, 0.2729], [0.9465, 0.8248, 0.7209], [0.9538, 0.2042, 0.2324], [0.9848, 0.2085, 0.9398], [0.9896, 0.8169, 0.4362], [0.9915, 0.2034, 0.5509], [0.9931, 0.7920, 0.0508]]}

=====

# 3
{"formula": "CsNiP", "functional": "PBE-GGA", "state": "optimized geometry", "density_g_cm3": 3.422, "ef_ev_per_atom": 0.01, "lattice_angstrom": [[7.1505, 0.0000, 0.0000], [0.0000, 11.4800, 0.0000], [0.0000, 0.0000, 5.2632]], "species": ["Cs", "Cs", "Cs", "Cs", "Ni", "Ni", "Ni", "Ni", "P", "P", "P", "P"], "fractional_positions": [[0.0000, 0.1632, 0.2500], [0.0000, 0.8368, 0.7500], [0.5000, 0.3368, 0.7500], [0.5000, 0.6632, 0.2500], [0.0000, 0.5000, 0.0000], [0.0000, 0.5000, 0.5000], [0.5000, 0.0000, 0.0000], [0.5000, 0.0000, 0.5000], [0.0000, 0.3563, 0.7500], [0.0000, 0.6437, 0.2500], [0.5000, 0.1437, 0.2500], [0.5000, 0.8563, 0.7500]]}

=====

# 4
{"formula": "Tb2CoGe2", "functional": "PBE-GGA", "state": "optimized geometry", "density_g_cm3": 8.657, "ef_ev_per_atom": -0.74, "lattice_angstrom": [[5.2755, -2.1076, 0.0000], [5.2755, 2.1076, 0.0000], [-4.8701, 0.0000, 9.0069]], "species": ["Tb", "Tb", "Tb", "Tb", "Co", "Co", "Ge", "Ge", "Ge", "Ge"], "fractional_positions": [[0.0055, 0.0055, 0.3323], [0.1868, 0.1868, 0.1108], [0.8132, 0.8132, 0.8892], [0.9945, 0.9945, 0.6677], [0.2762, 0.2762, 0.6394], [0.7238, 0.7238, 0.3606], [0.3466, 0.3466, 0.4335], [0.4872, 0.4872, 0.1249], [0.5128, 0.5128, 0.8751], [0.6534, 0.6534, 0.5665]]}